# 1
First-principles (PBE) data for a relaxed structure of Tl4SnI6, as listed in the Materials Project.

Structure (POSCAR):
```
Tl4SnI6
1.0
10.084 0.000 0.000
0.000 19.480 0.000
0.000 0.000 4.659
Tl Sn I
8 2 12
Direct
0.106 0.081 0.000
0.208 0.795 0.000
0.292 0.295 0.000
0.394 0.581 0.000
0.606 0.419 0.000
0.708 0.705 0.000
0.792 0.205 0.000
0.894 0.919 0.000
0.000 0.500 0.500
0.500 0.000 0.500
0.059 0.611 0.000
0.092 0.214 0.500
0.200 0.947 0.500
0.300 0.447 0.500
0.408 0.714 0.500
0.441 0.111 0.000
0.559 0.889 0.000
0.592 0.286 0.500
0.700 0.553 0.500
0.800 0.053 0.500
0.908 0.786 0.500
0.941 0.389 0.000
```

Computed properties:
- Space group: Pbam
- DFT formation energy: -0.829 eV per atom

=====

# 2
First-principles (PBE) data for a relaxed structure of TlSn2I5, as listed in the Materials Project.

Structure (POSCAR):
```
TlSn2I5
1.0
-4.438 4.438 7.909
4.438 -4.438 7.909
4.438 4.438 -7.909
Tl Sn I
2 4 10
Direct
0.250 0.250 0.000
0.750 0.750 0.000
0.167 0.667 0.834
0.333 0.167 0.500
0.667 0.833 0.500
0.833 0.333 0.166
0.000 0.000 0.000
0.024 0.203 0.500
0.203 0.703 0.178
0.297 0.476 0.500
0.476 0.976 0.178
0.500 0.500 0.000
0.524 0.024 0.822
0.703 0.524 0.500
0.797 0.297 0.822
0.976 0.797 0.500
```

Computed properties:
- Space group: I4/mcm
- DFT formation energy: -0.756 eV per atom

=====

# 3
First-principles (PBE) data for a relaxed structure of TlSnI3, as listed in the Materials Project.

Structure (POSCAR):
```
TlSnI3
1.0
2.324 -7.600 0.000
2.324 7.600 0.000
0.000 0.000 11.920
Tl Sn I
2 2 6
Direct
0.246 0.754 0.750
0.754 0.246 0.250
0.000 0.000 0.000
0.000 0.000 0.500
0.079 0.921 0.250
0.360 0.640 0.056
0.360 0.640 0.444
0.640 0.360 0.556
0.640 0.360 0.944
0.921 0.079 0.750
```

Computed properties:
- Space group: Cmcm
- DFT formation energy: -0.807 eV per atom

=====

# 4
First-principles (PBE) data for a relaxed structure of Sr2TlI5, as listed in the Materials Project.

Structure (POSCAR):
```
Sr2TlI5
1.0
10.053 0.000 0.000
0.000 9.140 0.000
-0.010 0.000 14.369
Sr Tl I
8 4 20
Direct
0.002 0.023 0.181
0.002 0.477 0.681
0.249 0.080 0.493
0.249 0.420 0.993
0.751 0.580 0.007
0.751 0.920 0.507
0.998 0.523 0.319
0.998 0.977 0.819
0.489 0.013 0.180
0.489 0.487 0.680
0.511 0.513 0.320
0.511 0.987 0.820
0.045 0.663 0.095
0.045 0.837 0.595
0.221 0.041 0.997
0.221 0.459 0.497
0.223 0.663 0.815
0.223 0.837 0.315
0.231 0.194 0.718
0.231 0.306 0.218
0.460 0.665 0.090
0.460 0.835 0.590
0.540 0.165 0.410
0.540 0.335 0.910
0.769 0.694 0.782
0.769 0.806 0.282
0.777 0.163 0.685
0.777 0.337 0.185
0.779 0.541 0.503
0.779 0.959 0.003
0.955 0.163 0.405
0.955 0.337 0.905
```

Computed properties:
- Space group: P2_1/c
- DFT formation energy: -1.676 eV per atom

=====

# 5
First-principles (PBE) data for a relaxed structure of SrUI6, as listed in the Materials Project.

Structure (POSCAR):
```
SrUI6
1.0
4.085 -6.996 0.000
4.085 6.996 0.000
-3.104 0.000 15.008
Sr U I
2 2 12
Direct
0.084 0.916 0.750
0.916 0.084 0.250
0.418 0.582 0.750
0.582 0.418 0.250
0.078 0.235 0.631
0.171 0.640 0.872
0.235 0.078 0.131
0.320 0.462 0.367
0.360 0.829 0.628
0.462 0.320 0.867
0.538 0.680 0.133
0.640 0.171 0.372
0.680 0.538 0.633
0.765 0.922 0.869
0.829 0.360 0.128
0.922 0.765 0.369
```

Computed properties:
- Space group: C2/c
- DFT formation energy: -1.466 eV per atom

=====

# 6
First-principles (PBE) data for a relaxed structure of Sr3YI9, as listed in the Materials Project.

Structure (POSCAR):
```
Sr3YI9
1.0
8.356 0.000 0.000
0.000 7.714 0.000
-0.980 0.000 32.971
Sr Y I
12 4 36
Direct
0.000 0.001 0.000
0.000 0.999 0.500
0.468 0.482 0.260
0.468 0.518 0.760
0.509 0.473 0.500
0.509 0.527 0.000
0.588 0.020 0.382
0.588 0.980 0.882
0.622 0.015 0.622
0.622 0.985 0.122
0.970 0.033 0.259
0.970 0.967 0.759
0.100 0.481 0.385
0.100 0.519 0.885
0.128 0.453 0.625
0.128 0.547 0.125
0.142 0.392 0.985
0.142 0.608 0.485
0.145 0.327 0.798
0.145 0.673 0.298
0.186 0.295 0.199
0.186 0.705 0.699
0.281 0.201 0.323
0.281 0.799 0.823
0.284 0.180 0.439
0.284 0.820 0.939
0.291 0.184 0.564
0.291 0.816 0.064
0.375 0.246 0.681
0.375 0.754 0.181
0.427 0.352 0.093
0.427 0.648 0.593
0.444 0.384 0.894
0.444 0.616 0.394
0.625 0.119 0.993
0.625 0.881 0.493
0.641 0.158 0.791
0.641 0.842 0.291
0.689 0.234 0.203
0.689 0.766 0.703
0.811 0.323 0.325
0.811 0.677 0.825
0.812 0.309 0.440
0.812 0.691 0.940
0.822 0.299 0.563
0.822 0.701 0.063
0.894 0.255 0.680
0.894 0.745 0.180
0.941 0.167 0.895
0.941 0.833 0.395
0.950 0.216 0.093
0.950 0.784 0.593
```

Computed properties:
- Space group: Pc
- DFT formation energy: -1.824 eV per atom

=====

# 7
First-principles (PBE) data for a relaxed structure of Sr2YI7, as listed in the Materials Project.

Structure (POSCAR):
```
Sr2YI7
1.0
8.311 0.000 0.000
0.000 14.610 0.000
-2.748 0.000 14.656
Sr Y I
8 4 28
Direct
0.121 0.000 0.233
0.251 0.168 0.728
0.258 0.758 0.845
0.271 0.427 0.342
0.729 0.927 0.658
0.742 0.258 0.155
0.749 0.668 0.272
0.879 0.500 0.767
0.343 0.705 0.446
0.352 0.476 0.946
0.648 0.976 0.054
0.657 0.205 0.554
0.051 0.597 0.960
0.056 0.576 0.453
0.078 0.847 0.388
0.104 0.219 0.300
0.107 0.971 0.799
0.115 0.320 0.873
0.292 0.549 0.750
0.335 0.634 0.249
0.345 0.884 0.096
0.380 0.380 0.129
0.384 0.794 0.634
0.386 0.326 0.596
0.426 0.049 0.503
0.455 0.143 0.988
0.545 0.643 0.012
0.574 0.549 0.497
0.614 0.826 0.404
0.616 0.294 0.366
0.620 0.880 0.871
0.655 0.384 0.904
0.665 0.134 0.751
0.708 0.049 0.250
0.885 0.820 0.127
0.893 0.471 0.201
0.896 0.719 0.700
0.922 0.347 0.612
0.944 0.076 0.547
0.949 0.097 0.040
```

Computed properties:
- Excess energy over the best structure of this formula in the dataset: 0.00 kJ/mol of atoms
- Space group: P2_1
- DFT formation energy: -1.801 eV per atom

=====

# 8
First-principles (PBE) data for a relaxed structure of Sr2YI7, as listed in the Materials Project.

Structure (POSCAR):
```
Sr2YI7
1.0
7.807 0.000 0.000
0.000 17.305 0.000
-0.134 0.000 11.965
Sr Y I
8 4 28
Direct
0.214 0.219 0.049
0.214 0.281 0.549
0.221 0.557 0.175
0.221 0.943 0.675
0.779 0.057 0.325
0.779 0.443 0.825
0.786 0.719 0.451
0.786 0.781 0.951
0.283 0.632 0.722
0.283 0.868 0.222
0.717 0.132 0.778
0.717 0.368 0.278
0.003 0.238 0.300
0.003 0.262 0.800
0.007 0.606 0.924
0.007 0.894 0.424
0.184 0.039 0.210
0.184 0.461 0.710
0.193 0.642 0.472
0.193 0.858 0.972
0.365 0.073 0.878
0.365 0.427 0.378
0.496 0.103 0.564
0.496 0.397 0.064
0.496 0.715 0.220
0.496 0.785 0.720
0.504 0.215 0.280
0.504 0.285 0.780
0.504 0.603 0.936
0.504 0.897 0.436
0.635 0.573 0.622
0.635 0.927 0.122
0.807 0.142 0.028
0.807 0.358 0.528
0.816 0.539 0.290
0.816 0.961 0.790
0.993 0.106 0.576
0.993 0.394 0.076
0.997 0.738 0.200
0.997 0.762 0.700
```

Computed properties:
- Excess energy over the best structure of this formula in the dataset: 3.17 kJ/mol of atoms
- Space group: P2_1/c
- DFT formation energy: -1.768 eV per atom